A plane-wave DFT calculation with PBE with a Hubbard U was carried out for Li9Mn2Co5O16 after structural relaxation.

Properties
- E: -185.719 eV for the cell shown
- Mass density: 4120 kg/m3
- ΔE_f: -1813 meV per atom

a = 2.928 Å, b = 10.199 Å, c = 10.330 Å
α = 70.81°, β = 90.00°, γ = 90.00°
Element x y z (fractional)
1 O 0.000 0.375 0.392
2 O 0.500 0.890 0.110
3 O 0.000 0.637 0.119
4 O 0.500 0.118 0.385
5 O 0.000 0.877 0.892
6 O 0.500 0.636 0.877
7 O 0.500 0.610 0.392
8 O 0.000 0.136 0.615
9 O 0.500 0.364 0.123
10 O 0.500 0.882 0.615
11 O 0.000 0.363 0.881
12 O 0.000 0.123 0.108
13 O 0.000 0.864 0.385
14 O 0.500 0.110 0.890
15 O 0.000 0.625 0.608
16 O 0.500 0.390 0.608
17 Co 0.500 0.268 0.006
18 Co 0.500 0.732 0.994
19 Co 0.500 0.755 0.501
20 Co 0.500 0.245 0.499
21 Co 0.000 0.000 0.500
22 Mn 0.000 0.000 0.000
23 Mn 0.000 0.500 0.500
24 Li 0.500 0.007 0.244
25 Li 0.000 0.248 0.759
26 Li 0.500 0.499 0.229
27 Li 0.500 0.993 0.756
28 Li 0.000 0.752 0.241
29 Li 0.000 0.500 0.000
30 Li 0.500 0.501 0.771
31 Li 0.000 0.253 0.242
32 Li 0.000 0.747 0.758

A plane-wave DFT calculation with PBE with a Hubbard U was carried out for LiFe4B4O12 after structural relaxation.

Properties
- E: -302.995 eV for the cell shown
- Mass density: 3178 kg/m3
- ΔE_f: -2233 meV per atom

a = 5.258 Å, b = 5.258 Å, c = 20.162 Å
α = 89.96°, β = 90.19°, γ = 119.22°
Element x y z (fractional)
1 Li 0.643 0.669 0.079
2 Li 0.667 0.641 0.332
3 B 0.342 0.997 0.814
4 B 0.671 0.011 0.187
5 B 0.336 0.995 0.314
6 B 0.999 0.338 0.565
7 B 0.996 0.341 0.064
8 B 0.664 0.005 0.689
9 B 0.010 0.670 0.438
10 B 0.004 0.665 0.938
11 O 0.294 0.228 0.816
12 O 0.083 0.745 0.291
13 O 0.259 0.353 0.065
14 O 0.406 0.989 0.664
15 O 0.885 0.274 0.212
16 O 0.983 0.403 0.915
17 O 0.765 0.700 0.941
18 O 0.129 0.730 0.787
19 O 0.351 0.260 0.316
20 O 0.719 0.779 0.179
21 O 0.599 0.010 0.837
22 O 0.875 0.271 0.716
23 O 0.272 0.878 0.467
24 O 0.273 0.882 0.960
25 O 0.403 0.980 0.168
26 O 0.709 0.773 0.686
27 O 0.732 0.123 0.538
28 O 0.011 0.594 0.588
29 O 0.786 0.726 0.428
30 O 0.573 0.963 0.338
31 O 0.232 0.295 0.566
32 O 0.983 0.406 0.417
33 O 0.744 0.091 0.041
34 O 0.967 0.579 0.087
35 Fe 0.674 0.003 0.940
36 Fe 0.016 0.676 0.189
37 Fe 0.004 0.675 0.690
38 Fe 0.007 0.315 0.313
39 Fe 0.314 0.010 0.062
40 Fe 0.677 0.017 0.439
41 Fe 0.998 0.325 0.814
42 Fe 0.328 0.997 0.566

A plane-wave DFT calculation with PBE with a Hubbard U was carried out for BaNiP2O7 after structural relaxation.

Properties
- E: -303.831 eV for the cell shown
- Mass density: 4109 kg/m3
- ΔE_f: -2741 meV per atom

a = 8.807 Å, b = 9.227 Å, c = 9.494 Å
α = 69.61°, β = 62.56°, γ = 98.15°
Element x y z (fractional)
1 P 0.230 0.910 0.872
2 P 0.302 0.747 0.651
3 P 0.303 0.247 0.151
4 P 0.698 0.253 0.349
5 P 0.230 0.410 0.372
6 P 0.770 0.590 0.628
7 P 0.698 0.753 0.849
8 P 0.770 0.090 0.128
9 O 0.882 0.513 0.697
10 O 0.779 0.160 0.448
11 O 0.652 0.467 0.613
12 O 0.221 0.840 0.552
13 O 0.151 0.083 0.327
14 O 0.150 0.583 0.827
15 O 0.882 0.013 0.197
16 O 0.632 0.138 0.276
17 O 0.535 0.286 0.463
18 O 0.892 0.253 0.949
19 O 0.108 0.747 0.051
20 O 0.466 0.214 0.037
21 O 0.779 0.660 0.948
22 O 0.118 0.487 0.303
23 O 0.632 0.639 0.775
24 O 0.850 0.417 0.173
25 O 0.221 0.340 0.052
26 O 0.652 0.966 0.113
27 O 0.850 0.917 0.673
28 O 0.348 0.534 0.387
29 O 0.348 0.033 0.887
30 O 0.108 0.247 0.551
31 O 0.535 0.787 0.962
32 O 0.892 0.753 0.449
33 O 0.368 0.362 0.224
34 O 0.465 0.713 0.538
35 O 0.368 0.861 0.725
36 O 0.118 0.987 0.802
37 Ba 0.721 0.177 0.758
38 Ba 0.721 0.677 0.258
39 Ba 0.279 0.823 0.242
40 Ba 0.279 0.323 0.742
41 Ni 0.121 0.019 0.579
42 Ni 0.879 0.481 0.921
43 Ni 0.880 0.982 0.420
44 Ni 0.120 0.519 0.080

A plane-wave DFT calculation with PBE with a Hubbard U was carried out for FeAs2O7 after structural relaxation.

Properties
- E: -237.899 eV for the cell shown
- Mass density: 3402 kg/m3
- ΔE_f: -1412 meV per atom

a = 7.135 Å, b = 9.437 Å, c = 9.585 Å
α = 90.00°, β = 106.04°, γ = 90.00°
Element x y z (fractional)
1 O 0.753 0.832 0.405
2 O 0.610 0.837 0.106
3 O 0.390 0.163 0.894
4 O 0.638 0.226 0.730
5 O 0.016 0.372 0.393
6 O 0.025 0.086 0.329
7 O 0.362 0.726 0.770
8 O 0.753 0.668 0.905
9 O 0.610 0.663 0.606
10 O 0.632 0.565 0.256
11 O 0.247 0.168 0.595
12 O 0.157 0.823 0.454
13 O 0.025 0.414 0.829
14 O 0.632 0.935 0.756
15 O 0.975 0.914 0.671
16 O 0.984 0.872 0.107
17 O 0.368 0.435 0.744
18 O 0.984 0.628 0.607
19 O 0.843 0.177 0.546
20 O 0.247 0.332 0.095
21 O 0.638 0.274 0.230
22 O 0.368 0.065 0.244
23 O 0.390 0.337 0.394
24 O 0.157 0.677 0.954
25 O 0.975 0.586 0.171
26 O 0.362 0.774 0.270
27 O 0.016 0.128 0.893
28 O 0.843 0.323 0.046
29 As 0.409 0.242 0.244
30 As 0.591 0.758 0.756
31 As 0.978 0.797 0.537
32 As 0.409 0.258 0.744
33 As 0.022 0.297 0.963
34 As 0.978 0.703 0.037
35 As 0.022 0.203 0.463
36 As 0.591 0.742 0.256
37 Fe 0.820 0.069 0.714
38 Fe 0.180 0.569 0.786
39 Fe 0.180 0.931 0.286
40 Fe 0.820 0.431 0.214

A plane-wave DFT calculation with PBE with a Hubbard U was carried out for KCoO2 after structural relaxation.

Properties
- Maximum piezoelectric response: 0.740 C/m2
- E: -42.134 eV for the cell shown
- Mass density: 3591 kg/m3
- ΔE_f: -1491 meV per atom

a = 5.431 Å, b = 5.431 Å, c = 5.431 Å
α = 115.02°, β = 115.02°, γ = 98.87°
Element x y z (fractional)
1 K 0.500 0.500 0.000
2 K 0.250 0.750 0.500
3 Co 0.750 0.250 0.500
4 Co 0.000 0.000 0.000
5 O 0.922 0.029 0.645
6 O 0.723 0.078 0.106
7 O 0.971 0.617 0.894
8 O 0.383 0.277 0.355

A plane-wave DFT calculation with PBE with a Hubbard U was carried out for LiAlVO4 after structural relaxation.

Properties
- E: -148.169 eV for the cell shown
- Mass density: 2329 kg/m3
- ΔE_f: -2758 meV per atom

a = 5.488 Å, b = 5.488 Å, c = 12.206 Å
α = 90.00°, β = 90.00°, γ = 120.00°
Element x y z (fractional)
1 O 0.813 0.614 0.757
2 O 0.614 0.813 0.909
3 O 0.801 0.614 0.243
4 O 0.187 0.386 0.757
5 O 0.386 0.199 0.424
6 O 0.187 0.801 0.576
7 O 0.614 0.801 0.424
8 O 0.386 0.187 0.909
9 O 0.813 0.199 0.576
10 O 0.199 0.386 0.243
11 O 0.801 0.187 0.091
12 O 0.199 0.813 0.091
13 V 0.500 0.500 0.333
14 V 0.500 0.000 0.000
15 V 0.000 0.500 0.667
16 Al 0.000 0.500 0.167
17 Al 0.500 0.000 0.500
18 Al 0.500 0.500 0.833
19 Li 0.000 0.000 0.500
20 Li 0.000 0.000 0.167
21 Li 0.000 0.000 0.833

A plane-wave DFT calculation with PBE with a Hubbard U was carried out for CaFeO2 after structural relaxation.

Properties
- E: -104.660 eV for the cell shown
- Mass density: 3975 kg/m3
- ΔE_f: -2356 meV per atom

a = 5.564 Å, b = 5.564 Å, c = 6.904 Å
α = 90.00°, β = 90.00°, γ = 90.00°
Element x y z (fractional)
1 O 0.781 0.281 0.568
2 O 0.781 0.281 0.068
3 O 0.719 0.781 0.932
4 O 0.219 0.719 0.568
5 O 0.281 0.219 0.432
6 O 0.281 0.219 0.932
7 O 0.219 0.719 0.068
8 O 0.719 0.781 0.432
9 Fe 0.000 0.000 0.500
10 Fe 0.000 0.000 0.000
11 Fe 0.500 0.500 0.500
12 Fe 0.500 0.500 0.000
13 Ca 0.000 0.500 0.799
14 Ca 0.000 0.500 0.299
15 Ca 0.500 0.000 0.701
16 Ca 0.500 0.000 0.201

A plane-wave DFT calculation with PBE with a Hubbard U was carried out for Sr5La3Mn8O20F4 after structural relaxation.

Properties
- E: -288.127 eV for the cell shown
- Mass density: 5633 kg/m3
- ΔE_f: -2847 meV per atom

a = 5.629 Å, b = 5.690 Å, c = 15.559 Å
α = 89.89°, β = 89.93°, γ = 89.82°
Element x y z (fractional)
1 O 0.258 0.756 0.987
2 O 0.990 0.927 0.626
3 O 0.525 0.561 0.626
4 O 0.759 0.746 0.484
5 O 0.742 0.244 0.512
6 O 0.762 0.732 0.988
7 O 0.001 0.057 0.875
8 O 0.991 0.058 0.374
9 O 0.494 0.434 0.875
10 O 0.011 0.925 0.126
11 O 0.233 0.267 0.519
12 O 0.227 0.267 0.017
13 O 0.497 0.556 0.126
14 O 0.764 0.261 0.732
15 O 0.748 0.251 0.230
16 O 0.269 0.768 0.483
17 O 0.747 0.754 0.267
18 O 0.497 0.427 0.374
19 O 0.234 0.265 0.232
20 O 0.251 0.750 0.763
21 Mn 0.510 0.488 0.249
22 Mn 0.501 0.500 0.751
23 Mn 0.487 0.511 0.998
24 Mn 0.498 0.502 0.500
25 Mn 0.988 0.013 0.249
26 Mn 0.011 0.985 0.998
27 Mn 0.003 0.998 0.751
28 Mn 0.004 0.002 0.500
29 Sr 0.487 0.998 0.126
30 Sr 0.499 0.000 0.621
31 Sr 0.500 0.993 0.878
32 Sr 0.006 0.499 0.377
33 Sr 0.009 0.498 0.877
34 La 0.000 0.503 0.123
35 La 0.528 0.000 0.382
36 La 0.975 0.501 0.617
37 F 0.738 0.237 0.020
38 F 0.750 0.751 0.773
39 F 0.247 0.255 0.723
40 F 0.260 0.761 0.270